Compound: NdTm3
Source: the Materials Project
Functional: GGA-PBE
Structure: optimized geometry

Cell lengths 5.000, 5.000, 5.000 Å; angles 90.00, 90.00, 90.00 degrees
Space group Pm-3m (No. 221)
Unique sites:
Nd  0.000  0.000  0.000 x1
Tm  0.000  0.500  0.500 x3

Summary:
E_tot ... -4.52 eV per atom
Energy above the most stable polymorph in this dataset ... 0.32 kcal/mol of atoms
Formation energy ... 0.03 eV/atom